(one)
## Li6V3P8O29 (PBE with a Hubbard U)

Data for Li6V3P8O29 after structural relaxation.

## Properties
Its volume is 580.5 Å³/f.u.

CIF file:
```
data_Li6V3P8O29
_cell_length_a 9.760
_cell_length_b 9.784
_cell_length_c 13.973
_cell_angle_alpha 90.16
_cell_angle_beta 90.14
_cell_angle_gamma 119.53
_symmetry_space_group_name_H-M 'P -1'
_symmetry_Int_Tables_number 2
loop_
_symmetry_equiv_pos_as_xyz
'x,y,z'
'-x,-y,-z'
loop_
_atom_site_label
_atom_site_fract_x
_atom_site_fract_y
_atom_site_fract_z
_atom_site_occupancy
Li1 0.000 0.000 0.000 1
Li2 0.000 0.000 0.500 1
Li3 0.098 0.336 0.436 1
Li4 0.233 0.334 0.944 1
Li5 0.237 0.900 0.439 1
Li6 0.332 0.095 0.060 1
Li7 0.337 0.237 0.562 1
V1 0.004 0.564 0.754 1
V2 0.435 0.997 0.247 1
V3 0.438 0.439 0.749 1
P1 0.083 0.308 0.654 1
P2 0.084 0.779 0.160 1
P3 0.223 0.312 0.159 1
P4 0.224 0.914 0.659 1
P5 0.311 0.090 0.844 1
P6 0.313 0.224 0.342 1
P7 0.331 0.664 0.369 1
P8 0.336 0.667 0.869 1
O1 0.002 0.781 0.437 1
O2 0.010 0.209 0.922 1
O3 0.011 0.805 0.258 1
O4 0.082 0.463 0.666 1
O5 0.082 0.747 0.659 1
O6 0.083 0.340 0.161 1
O7 0.086 0.623 0.169 1
O8 0.186 0.511 0.329 1
O9 0.191 0.671 0.822 1
O10 0.204 0.002 0.751 1
O11 0.204 0.201 0.250 1
O12 0.221 0.002 0.570 1
O13 0.222 0.219 0.431 1
O14 0.223 0.223 0.070 1
O15 0.227 0.012 0.934 1
O16 0.252 0.333 0.657 1
O17 0.255 0.920 0.158 1
O18 0.323 0.809 0.329 1
O19 0.328 0.513 0.825 1
O20 0.337 0.661 0.975 1
O21 0.339 0.664 0.476 1
O22 0.341 0.082 0.342 1
O23 0.341 0.260 0.840 1
O24 0.379 0.467 0.171 1
O25 0.380 0.914 0.671 1
O26 0.468 0.380 0.334 1
O27 0.469 0.089 0.828 1
O28 0.486 0.672 0.327 1
O29 0.490 0.812 0.829 1
```

(two)
## Li6V3P8O29 (PBE with a Hubbard U)

Data for Li6V3P8O29 after structural relaxation.

## Properties
Its volume is 583.0 Å³/f.u.

CIF file:
```
data_Li6V3P8O29
_cell_length_a 16.977
_cell_length_b 9.813
_cell_length_c 14.000
_cell_angle_alpha 90.00
_cell_angle_beta 90.90
_cell_angle_gamma 90.00
_symmetry_space_group_name_H-M 'C 1 c 1'
_symmetry_Int_Tables_number 9
loop_
_symmetry_equiv_pos_as_xyz
'x,y,z'
'x,-y,z+1/2'
'x+1/2,y+1/2,z'
'x+1/2,-y+1/2,z+1/2'
loop_
_atom_site_label
_atom_site_fract_x
_atom_site_fract_y
_atom_site_fract_z
_atom_site_occupancy
Li1 0.000 0.002 0.000 1
Li2 0.209 0.214 0.046 1
Li3 0.275 0.292 0.549 1
Li4 0.318 0.041 0.611 1
Li5 0.370 0.272 0.171 1
Li6 0.491 0.065 0.050 1
V1 0.045 0.282 0.355 1
V2 0.107 0.220 0.858 1
V3 0.325 0.434 0.356 1
P1 0.159 0.498 0.480 1
P2 0.174 0.066 0.447 1
P3 0.211 0.198 0.261 1
P4 0.281 0.269 0.768 1
P5 0.374 0.272 0.951 1
P6 0.435 0.199 0.449 1
P7 0.481 0.070 0.265 1
P8 0.492 0.498 0.240 1
O1 0.012 0.216 0.944 1
O2 0.060 0.354 0.778 1
O3 0.064 0.076 0.788 1
O4 0.084 0.425 0.435 1
O5 0.093 0.140 0.441 1
O6 0.136 0.281 0.277 1
O7 0.157 0.497 0.586 1
O8 0.159 0.089 0.952 1
O9 0.160 0.351 0.941 1
O10 0.198 0.218 0.777 1
O11 0.218 0.089 0.347 1
O12 0.218 0.122 0.169 1
O13 0.230 0.114 0.525 1
O14 0.233 0.424 0.441 1
O15 0.284 0.427 0.783 1
O16 0.285 0.292 0.272 1
O17 0.318 0.227 0.676 1
O18 0.326 0.235 0.038 1
O19 0.330 0.209 0.858 1
O20 0.366 0.302 0.449 1
O21 0.383 0.428 0.937 1
O22 0.417 0.418 0.273 1
O23 0.424 0.118 0.350 1
O24 0.430 0.099 0.530 1
O25 0.439 0.110 0.173 1
O26 0.456 0.207 0.954 1
O27 0.492 0.085 0.774 1
O28 0.492 0.356 0.787 1
O29 0.493 0.499 0.135 1
```

The data favor (two); the next most stable structure lies 5 meV per atom above it.

(one)
## Na3Mg4CrSi8O22F2 (PBE with a Hubbard U)

Data for Na3Mg4CrSi8O22F2 after structural relaxation.

## Properties
Its volume is 463.3 Å³/f.u.

CIF file:
```
data_Na3Mg4CrSi8O22F2
_cell_length_a 9.851
_cell_length_b 10.265
_cell_length_c 10.721
_cell_angle_alpha 83.74
_cell_angle_beta 76.84
_cell_angle_gamma 61.38
_symmetry_space_group_name_H-M 'P -1'
_symmetry_Int_Tables_number 2
loop_
_symmetry_equiv_pos_as_xyz
'x,y,z'
'-x,-y,-z'
loop_
_atom_site_label
_atom_site_fract_x
_atom_site_fract_y
_atom_site_fract_z
_atom_site_occupancy
Na1 0.000 0.001 0.250 1
Na2 0.224 0.549 0.998 1
Na3 0.227 0.549 0.502 1
Mg1 0.319 0.361 0.750 1
Mg2 0.410 0.179 0.502 1
Mg3 0.411 0.179 0.998 1
Mg4 0.499 0.001 0.750 1
Cr1 0.322 0.356 0.250 1
Si1 0.040 0.341 0.649 1
Si2 0.040 0.343 0.148 1
Si3 0.131 0.171 0.394 1
Si4 0.134 0.169 0.894 1
Si5 0.303 0.828 0.894 1
Si6 0.304 0.830 0.394 1
Si7 0.382 0.658 0.148 1
Si8 0.384 0.656 0.648 1
O1 0.024 0.249 0.786 1
O2 0.024 0.250 0.285 1
O3 0.034 0.244 0.535 1
O4 0.040 0.240 0.036 1
O5 0.109 0.499 0.851 1
O6 0.117 0.500 0.347 1
O7 0.155 0.000 0.399 1
O8 0.156 0.999 0.899 1
O9 0.212 0.335 0.613 1
O10 0.216 0.334 0.118 1
O11 0.274 0.750 0.286 1
O12 0.275 0.748 0.785 1
O13 0.278 0.756 0.035 1
O14 0.281 0.759 0.536 1
O15 0.300 0.174 0.354 1
O16 0.304 0.167 0.857 1
O17 0.384 0.500 0.152 1
O18 0.393 0.498 0.648 1
O19 0.449 0.335 0.382 1
O20 0.452 0.336 0.887 1
O21 0.471 0.833 0.357 1
O22 0.475 0.826 0.854 1
F1 0.397 0.001 0.103 1
F2 0.398 0.999 0.603 1
```

(two)
## Na3Mg4CrSi8O22F2 (PBE with a Hubbard U)

Data for Na3Mg4CrSi8O22F2 after structural relaxation.

## Properties
Its volume is 478.5 Å³/f.u.

CIF file:
```
data_Na3Mg4CrSi8O22F2
_cell_length_a 8.150
_cell_length_b 8.684
_cell_length_c 15.441
_cell_angle_alpha 77.70
_cell_angle_beta 86.47
_cell_angle_gamma 63.75
_symmetry_space_group_name_H-M 'P -1'
_symmetry_Int_Tables_number 2
loop_
_symmetry_equiv_pos_as_xyz
'x,y,z'
'-x,-y,-z'
loop_
_atom_site_label
_atom_site_fract_x
_atom_site_fract_y
_atom_site_fract_z
_atom_site_occupancy
Na1 0.035 0.328 0.463 1
Na2 0.125 0.553 0.026 1
Na3 0.372 0.255 0.776 1
Mg1 0.054 0.006 0.731 1
Mg2 0.220 0.860 0.413 1
Mg3 0.464 0.889 0.581 1
Mg4 0.472 0.216 0.024 1
Cr1 0.024 0.643 0.750 1
Si1 0.174 0.145 0.142 1
Si2 0.184 0.068 0.957 1
Si3 0.191 0.808 0.129 1
Si4 0.209 0.572 0.326 1
Si5 0.311 0.256 0.604 1
Si6 0.359 0.614 0.607 1
Si7 0.421 0.515 0.860 1
Si8 0.427 0.873 0.809 1
O1 0.014 0.783 0.085 1
O2 0.027 0.360 0.124 1
O3 0.047 0.033 0.125 1
O4 0.055 0.946 0.606 1
O5 0.120 0.748 0.629 1
O6 0.125 0.111 0.255 1
O7 0.129 0.433 0.317 1
O8 0.137 0.756 0.244 1
O9 0.144 0.671 0.410 1
O10 0.257 0.152 0.024 1
O11 0.257 0.865 0.014 1
O12 0.297 0.540 0.771 1
O13 0.315 0.034 0.867 1
O14 0.333 0.451 0.586 1
O15 0.344 0.154 0.518 1
O16 0.346 0.921 0.710 1
O17 0.349 0.426 0.944 1
O18 0.355 0.594 0.142 1
O19 0.361 0.764 0.525 1
O20 0.367 0.176 0.162 1
O21 0.390 0.713 0.870 1
O22 0.442 0.447 0.341 1
F1 0.362 0.876 0.162 1
F2 0.444 0.876 0.354 1
```

The data favor (one); the next most stable structure lies 557 meV per atom above it.

(one)
## MgFe2O5 (PBE with a Hubbard U)

Data for MgFe2O5 after structural relaxation.

## Properties
Its volume is 109.8 Å³/f.u.

CIF file:
```
data_MgFe2O5
_cell_length_a 3.779
_cell_length_b 10.627
_cell_length_c 10.931
_cell_angle_alpha 90.00
_cell_angle_beta 90.00
_cell_angle_gamma 90.00
_symmetry_space_group_name_H-M 'C m c m'
_symmetry_Int_Tables_number 63
_symmetry_space_group_name_Hall '-C 2c 2'
loop_
_atom_site_label
_atom_site_fract_x
_atom_site_fract_y
_atom_site_fract_z
_atom_site_occupancy
Mg1 0.000 0.119 0.250 1
Fe1 0.000 0.204 0.600 1
O1 0.000 0.041 0.651 1
O2 0.000 0.238 0.080 1
O3 0.000 0.303 0.750 1
```

(two)
## MgFe2O5 (PBE with a Hubbard U)

Data for MgFe2O5 after structural relaxation.

## Properties
Its volume is 86.2 Å³/f.u.

CIF file:
```
data_MgFe2O5
_cell_length_a 9.881
_cell_length_b 5.198
_cell_length_c 7.183
_cell_angle_alpha 90.00
_cell_angle_beta 110.80
_cell_angle_gamma 90.00
_symmetry_space_group_name_H-M 'C 1 c 1'
_symmetry_Int_Tables_number 9
loop_
_symmetry_equiv_pos_as_xyz
'x,y,z'
'x,-y,z+1/2'
'x+1/2,y+1/2,z'
'x+1/2,-y+1/2,z+1/2'
loop_
_atom_site_label
_atom_site_fract_x
_atom_site_fract_y
_atom_site_fract_z
_atom_site_occupancy
Mg1 0.000 0.003 0.000 1
Fe1 0.131 0.499 0.211 1
Fe2 0.376 0.003 0.785 1
O1 0.078 0.351 0.935 1
O2 0.199 0.166 0.665 1
O3 0.306 0.320 0.329 1
O4 0.417 0.152 0.055 1
O5 0.498 0.284 0.751 1
```

The data favor (two); the next most stable structure lies 75 meV per atom above it.